1.
The following is a DFT calculation (PBE) of GdBeO3 after structural relaxation.

Magnetization in Bohr magnetons per cell: 5.96
Calculated total energy in eV per atom: -8.993
Calculated formation energy in eV per atom: -2.87

abc: 3.599 3.599 3.599
angles: 90.00 90.00 90.00
Space group Pm-3m (No. 221)
Unique sites:
Gd (0.000, 0.000, 0.000) [1 per cell]
Be (0.500, 0.500, 0.500) [1 per cell]
O (0.000, 0.500, 0.500) [3 per cell]

=====

2.
The following is a DFT calculation (PBE) of Mg2Ta4P6S3O36 after structural relaxation.

Magnetization in Bohr magnetons per cell: 0.00
Calculated total energy in eV per atom: -7.644
Calculated formation energy in eV per atom: -2.76

abc: 8.7451 8.7451 22.5223
angles: 90.00 90.00 120.00
Space group P3c1 (No. 158)
Unique sites:
Mg (0.0000, 0.0000, 0.0000) [2 per cell]
Mg (0.3333, 0.6667, 0.1719) [2 per cell]
Ta (0.0000, 0.0000, 0.2894) [2 per cell]
Ta (0.3333, 0.6667, 0.4549) [2 per cell]
Ta (0.6667, 0.3333, 0.1250) [2 per cell]
Ta (0.6667, 0.3333, 0.3363) [2 per cell]
P (0.2834, 0.0021, 0.3983) [6 per cell]
P (0.3807, 0.0444, 0.7299) [6 per cell]
S (0.0483, 0.3775, 0.0645) [6 per cell]
O (0.0212, 0.2032, 0.0546) [6 per cell]
O (0.0330, 0.2009, 0.3419) [6 per cell]
O (0.1302, 0.4944, 0.0100) [6 per cell]
O (0.1322, 0.4929, 0.7211) [6 per cell]
O (0.1544, 0.4622, 0.1164) [6 per cell]
O (0.1639, 0.4719, 0.4075) [6 per cell]
O (0.2002, 0.0364, 0.7402) [6 per cell]
O (0.2106, 0.0360, 0.4531) [6 per cell]
O (0.4691, 0.1701, 0.6747) [6 per cell]
O (0.4718, 0.1574, 0.3846) [6 per cell]
O (0.4965, 0.1408, 0.7845) [6 per cell]
O (0.4975, 0.1322, 0.0713) [6 per cell]

=====

3.
The following is a DFT calculation (PBE) of TbSnIr after structural relaxation.

Calculated total energy in eV per atom: -6.671
Calculated formation energy in eV per atom: -0.84

abc: 7.4890 7.4890 3.9822
angles: 90.00 90.00 120.00
Space group P-62m (No. 189)
Unique sites:
Tb (0.0000, 0.5926, 0.0000) [3 per cell]
Sn (0.0000, 0.2572, 0.5000) [3 per cell]
Ir (0.0000, 0.0000, 0.0000) [1 per cell]
Ir (0.3333, 0.6667, 0.5000) [2 per cell]

=====

4.
The following is a DFT calculation (PBE) of YNiB4 after structural relaxation.

Magnetization in Bohr magnetons per cell: 0.00
Calculated total energy in eV per atom: -7.066
Calculated formation energy in eV per atom: -0.57

abc: 7.544 7.544 8.533
angles: 90.00 90.00 90.00
Space group I4/mmm (No. 139)
Unique sites:
Y (0.000, 0.000, 0.202) [4 per cell]
Y (0.000, 0.500, 0.250) [4 per cell]
Ni (0.000, 0.229, 0.500) [8 per cell]
B (0.112, 0.275, 0.000) [16 per cell]
B (0.233, 0.233, 0.347) [16 per cell]

=====

5.
The following is a DFT calculation (PBE) of KRb2BiF6 after structural relaxation.

Magnetization in Bohr magnetons per cell: 0.00
Calculated total energy in eV per atom: -4.468
Calculated formation energy in eV per atom: -2.90

abc: 9.629 9.629 9.629
angles: 90.00 90.00 90.00
Space group Fm-3m (No. 225)
Unique sites:
K (0.000, 0.000, 0.000) [4 per cell]
Rb (0.250, 0.250, 0.250) [8 per cell]
Bi (0.000, 0.000, 0.500) [4 per cell]
F (0.000, 0.000, 0.264) [24 per cell]

=====

6.
The following is a DFT calculation (PBE) of BaNpPH2O7 after structural relaxation.

Magnetization in Bohr magnetons per cell: 8.03
Calculated total energy in eV per atom: -7.534
Calculated formation energy in eV per atom: -2.79

abc: 6.979 7.119 13.313
angles: 90.00 102.23 90.00
Space group P2_1/c (No. 14)
Unique sites:
Ba (0.071, 0.052, 0.353) [4 per cell]
Np (0.474, 0.231, 0.179) [4 per cell]
P (0.418, 0.716, 0.077) [4 per cell]
H (0.107, 0.066, 0.970) [4 per cell]
H (0.154, 0.538, 0.375) [4 per cell]
O (0.075, 0.067, 0.895) [4 per cell]
O (0.206, 0.232, 0.672) [4 per cell]
O (0.208, 0.655, 0.031) [4 per cell]
O (0.249, 0.704, 0.304) [4 per cell]
O (0.431, 0.604, 0.647) [4 per cell]
O (0.452, 0.240, 0.502) [4 per cell]
O (0.477, 0.064, 0.341) [4 per cell]

=====

7.
The following is a DFT calculation (PBE) of LaZnNi4 after structural relaxation.

Calculated total energy in eV per atom: -5.221
Calculated formation energy in eV per atom: -0.33

abc: 5.1150 5.1150 3.9661
angles: 90.00 90.00 120.00
Space group P-6m2 (No. 187)
Unique sites:
La (0.0000, 0.0000, 0.0000) [1 per cell]
Zn (0.3333, 0.6667, 0.0000) [1 per cell]
Ni (0.5025, 0.0051, 0.5000) [3 per cell]
Ni (0.6667, 0.3333, 0.0000) [1 per cell]

=====

8.
The following is a DFT calculation (PBE) of La9In5Se21 after structural relaxation.

Magnetization in Bohr magnetons per cell: 0.22
Calculated total energy in eV per atom: -5.248
Calculated formation energy in eV per atom: -1.77

abc: 18.7387 18.7387 19.4138
angles: 90.00 90.00 120.00
Space group R3 (No. 146, hexagonal axes)
Unique sites:
La (0.0322, 0.8308, 0.0000) [9 per cell]
La (0.0329, 0.8292, 0.3288) [9 per cell]
La (0.0338, 0.8325, 0.6638) [9 per cell]
La (0.1623, 0.4626, 0.4955) [9 per cell]
La (0.1646, 0.4655, 0.1663) [9 per cell]
La (0.1654, 0.4654, 0.8308) [9 per cell]
In (0.0000, 0.0000, 0.2303) [3 per cell]
In (0.0000, 0.0000, 0.4218) [3 per cell]
In (0.0000, 0.0000, 0.7304) [3 per cell]
In (0.0000, 0.0000, 0.9219) [3 per cell]
In (0.9995, 0.3327, 0.0243) [9 per cell]
In (0.0000, 0.6672, 0.1910) [9 per cell]
Se (0.0003, 0.6652, 0.3928) [9 per cell]
Se (0.0012, 0.3324, 0.2261) [9 per cell]
Se (0.0189, 0.8824, 0.4840) [9 per cell]
Se (0.0204, 0.4696, 0.4147) [9 per cell]
Se (0.0196, 0.8904, 0.8219) [9 per cell]
Se (0.0230, 0.4696, 0.7488) [9 per cell]
Se (0.0229, 0.8852, 0.1621) [9 per cell]
Se (0.0262, 0.4699, 0.0820) [9 per cell]
Se (0.1292, 0.0199, 0.3217) [9 per cell]
Se (0.1356, 0.7797, 0.5811) [9 per cell]
Se (0.1356, 0.7818, 0.9157) [9 per cell]
Se (0.1368, 0.0190, 0.9840) [9 per cell]
Se (0.1376, 0.0228, 0.6622) [9 per cell]
Se (0.1379, 0.7780, 0.2488) [9 per cell]

=====

| no. | ρ (Mg/m³) |
| --- | --- |
| 1 | 7.63 |
| 2 | 3.63 |
| 3 | 12.10 |
| 4 | 5.22 |
| 5 | 3.97 |
| 6 | 5.34 |
| 7 | 8.11 |
| 8 | 5.88 |